[1]
The following is a DFT calculation (r2SCAN) of a relaxed structure of La4Ga2O9.

## Properties
Electronic total energy, eV per formula unit: -244.38
Crystal system: monoclinic

Cell: 7.9761 11.2032 11.6137 Å, 90.00 109.44 90.00°
Element x y z (fractional)
La 0.0221 0.0985 0.2863
La 0.0221 0.4015 0.7863
La 0.1665 0.6231 0.5733
La 0.1665 0.8769 0.0733
La 0.3360 0.1241 0.9148
La 0.3360 0.3759 0.4148
La 0.4747 0.5851 0.1918
La 0.4747 0.9149 0.6918
La 0.5253 0.0851 0.3082
La 0.5253 0.4149 0.8082
La 0.6640 0.6241 0.5852
La 0.6640 0.8759 0.0852
La 0.8335 0.1231 0.9267
La 0.8335 0.3769 0.4267
La 0.9779 0.5985 0.2137
La 0.9779 0.9015 0.7137
Ga 0.1541 0.1887 0.6179
Ga 0.1541 0.3113 0.1179
Ga 0.2789 0.6917 0.8707
Ga 0.2789 0.8083 0.3707
Ga 0.7211 0.1917 0.6293
Ga 0.7211 0.3083 0.1293
Ga 0.8459 0.6887 0.8821
Ga 0.8459 0.8113 0.3821
O 0.0660 0.7481 0.8837
O 0.0660 0.7519 0.3837
O 0.0706 0.0096 0.8992
O 0.0706 0.4904 0.3992
O 0.1373 0.2278 0.4616
O 0.1373 0.2722 0.9616
O 0.2041 0.0358 0.6775
O 0.2041 0.4642 0.1775
O 0.2673 0.7199 0.2329
O 0.2673 0.7801 0.7329
O 0.2771 0.5355 0.8240
O 0.2771 0.9645 0.3240
O 0.2854 0.2186 0.2486
O 0.2854 0.2814 0.7486
O 0.4243 0.0019 0.1048
O 0.4243 0.4981 0.6048
O 0.4242 0.7331 0.0228
O 0.4242 0.7669 0.5228
O 0.5758 0.2331 0.4772
O 0.5758 0.2669 0.9772
O 0.5757 0.5019 0.3952
O 0.5757 0.9981 0.8952
O 0.7146 0.7186 0.2514
O 0.7146 0.7814 0.7514
O 0.7229 0.0355 0.6760
O 0.7229 0.4645 0.1760
O 0.7327 0.2199 0.2671
O 0.7327 0.2801 0.7671
O 0.7959 0.5358 0.8225
O 0.7959 0.9642 0.3225
O 0.8627 0.7278 0.0384
O 0.8627 0.7722 0.5384
O 0.9294 0.5096 0.6008
O 0.9294 0.9904 0.1008
O 0.9340 0.2481 0.6163
O 0.9340 0.2519 0.1163

=====

[2]
The following is a DFT calculation (r2SCAN) of a relaxed structure of LaGa3Pd.

## Properties
Electronic total energy, eV per formula unit: -90.89
Crystal system: tetragonal

Cell: 4.3012 4.3012 10.6342 Å, 90.00 90.00 90.00°
Element x y z (fractional)
La 0.0000 0.0000 0.0000
La 0.5000 0.5000 0.5000
Ga 0.0000 0.0000 0.3815
Ga 0.0000 0.0000 0.6185
Ga 0.0000 0.5000 0.2500
Ga 0.5000 0.0000 0.7500
Ga 0.5000 0.5000 0.1185
Ga 0.5000 0.5000 0.8815
Pd 0.0000 0.5000 0.7500
Pd 0.5000 0.0000 0.2500

=====

[3]
The following is a DFT calculation (r2SCAN) of a relaxed structure of LaGa3Pd2.

## Properties
Electronic total energy, eV per formula unit: -114.83
Crystal system: hexagonal

Cell: 5.4437 5.4437 4.2902 Å, 90.00 90.00 120.00°
Element x y z (fractional)
La 0.0000 0.0000 0.0000
Ga 0.0000 0.5000 0.5000
Ga 0.5000 0.0000 0.5000
Ga 0.5000 0.5000 0.5000
Pd 0.3333 0.6667 0.0000
Pd 0.6667 0.3333 0.0000

=====

[4]
The following is a DFT calculation (r2SCAN) of a relaxed structure of LaGaPd2.

## Properties
Electronic total energy, eV per formula unit: -90.73
Crystal system: orthorhombic

Cell: 7.6864 7.0498 5.8538 Å, 90.00 90.00 90.00°
Element x y z (fractional)
La 0.0351 0.2500 0.1536
La 0.4649 0.7500 0.6536
La 0.5351 0.2500 0.3464
La 0.9649 0.7500 0.8464
Ga 0.1223 0.7500 0.3452
Ga 0.3777 0.2500 0.8452
Ga 0.6223 0.7500 0.1548
Ga 0.8777 0.2500 0.6548
Pd 0.1748 0.0530 0.5871
Pd 0.1748 0.4470 0.5871
Pd 0.3252 0.5530 0.0871
Pd 0.3252 0.9470 0.0871
Pd 0.6748 0.0530 0.9129
Pd 0.6748 0.4470 0.9129
Pd 0.8252 0.5530 0.4129
Pd 0.8252 0.9470 0.4129

=====

[5]
The following is a DFT calculation (r2SCAN) of a relaxed structure of LaPmGa2.

## Properties
Electronic total energy, eV per formula unit: -84.70
Crystal system: cubic

Cell: 7.4343 7.4343 7.4343 Å, 90.00 90.00 90.00°
Element x y z (fractional)
La 0.0000 0.0000 0.0000
La 0.0000 0.5000 0.5000
La 0.5000 0.0000 0.5000
La 0.5000 0.5000 0.0000
Pm 0.0000 0.0000 0.5000
Pm 0.0000 0.5000 0.0000
Pm 0.5000 0.0000 0.0000
Pm 0.5000 0.5000 0.5000
Ga 0.2500 0.2500 0.2500
Ga 0.2500 0.2500 0.7500
Ga 0.2500 0.7500 0.2500
Ga 0.2500 0.7500 0.7500
Ga 0.7500 0.2500 0.2500
Ga 0.7500 0.2500 0.7500
Ga 0.7500 0.7500 0.2500
Ga 0.7500 0.7500 0.7500

=====

[6]
The following is a DFT calculation (r2SCAN) of a relaxed structure of LaGa2Pt3.

## Properties
Electronic total energy, eV per formula unit: -213.22
Crystal system: hexagonal

Cell: 5.6279 5.6279 4.0059 Å, 90.00 90.00 120.00°
Element x y z (fractional)
La 0.0000 0.0000 0.0000
Ga 0.3333 0.6667 0.0000
Ga 0.6667 0.3333 0.0000
Pt 0.0000 0.5000 0.5000
Pt 0.5000 0.0000 0.5000
Pt 0.5000 0.5000 0.5000

=====

[7]
The following is a DFT calculation (r2SCAN) of a relaxed structure of LaGaPt.

## Properties
Electronic total energy, eV per formula unit: -96.09
Crystal system: orthorhombic

Cell: 7.2925 4.5598 7.7905 Å, 90.00 90.00 90.00°
Element x y z (fractional)
La 0.0257 0.2500 0.1943
La 0.4743 0.7500 0.6943
La 0.5257 0.2500 0.3057
La 0.9743 0.7500 0.8057
Ga 0.1628 0.2500 0.5751
Ga 0.3372 0.7500 0.0751
Ga 0.6628 0.2500 0.9249
Ga 0.8372 0.7500 0.4249
Pt 0.2147 0.7500 0.3996
Pt 0.2853 0.2500 0.8996
Pt 0.7147 0.7500 0.1004
Pt 0.7853 0.2500 0.6004

=====

[8]
The following is a DFT calculation (r2SCAN) of a relaxed structure of La3Ga2Rh2.

## Properties
Electronic total energy, eV per formula unit: -166.23
Crystal system: orthorhombic

Cell: 5.7738 8.2568 13.8030 Å, 90.00 90.00 90.00°
Element x y z (fractional)
La 0.1354 0.2375 0.2500
La 0.1354 0.2625 0.7500
La 0.3453 0.5983 0.0960
La 0.3453 0.5983 0.4040
La 0.3453 0.9017 0.5960
La 0.3453 0.9017 0.9040
La 0.6547 0.0983 0.0960
La 0.6547 0.0983 0.4040
La 0.6547 0.4017 0.5960
La 0.6547 0.4017 0.9040
La 0.8646 0.7375 0.2500
La 0.8646 0.7625 0.7500
Ga 0.1282 0.2500 0.0000
Ga 0.1282 0.2500 0.5000
Ga 0.3575 0.6102 0.7500
Ga 0.3575 0.8898 0.2500
Ga 0.6425 0.1102 0.7500
Ga 0.6425 0.3898 0.2500
Ga 0.8718 0.7500 0.0000
Ga 0.8718 0.7500 0.5000
Rh 0.1407 0.5299 0.5889
Rh 0.1407 0.5299 0.9111
Rh 0.1407 0.9701 0.0889
Rh 0.1407 0.9701 0.4111
Rh 0.8593 0.0299 0.5889
Rh 0.8593 0.0299 0.9111
Rh 0.8593 0.4701 0.0889
Rh 0.8593 0.4701 0.4111